1.
# KPb2Cl5

KPb2Cl5 after structural relaxation (r²SCAN, Materials Project).

Cell: 8.8720 7.9894 12.5642 Å, 90.00 90.14 90.00°
Closest atoms and distances in Å follow each position.
Sites, in units of the cell vectors:
K  0.0095  0.0488  0.3290  8 Cl 3.20-3.42
K  0.0095  0.4512  0.8290  8 Cl 3.20-3.42
K  0.9905  0.5488  0.1710  8 Cl 3.20-3.42
K  0.9905  0.9512  0.6710  8 Cl 3.20-3.42
Pb  0.2446  0.5666  0.4942  7 Cl 2.85-3.16
Pb  0.2446  0.9334  0.9942  7 Cl 2.85-3.16
Pb  0.4905  0.5016  0.1747  6 Cl 2.87-3.15
Pb  0.4905  0.9984  0.6747  6 Cl 2.87-3.15
Pb  0.5095  0.0016  0.3253  6 Cl 2.87-3.15
Pb  0.5095  0.4984  0.8253  6 Cl 2.87-3.15
Pb  0.7554  0.0666  0.0058  7 Cl 2.85-3.16
Pb  0.7554  0.4334  0.5058  7 Cl 2.85-3.16
Cl  0.0412  0.1787  0.0812  2 Pb 2.85-2.88
Cl  0.0412  0.3213  0.5812  2 Pb 2.85-2.88
Cl  0.2640  0.6889  0.7196  3 Pb 2.97-3.24, 2 K 3.26
Cl  0.2640  0.8111  0.2196  3 Pb 2.97-3.24, 2 K 3.26
Cl  0.2674  0.1532  0.8112  2 Pb 2.90
Cl  0.2674  0.3468  0.3112  2 Pb 2.90
Cl  0.2786  0.5404  0.9979  3 Pb 2.92-3.16, 1 K 3.27
Cl  0.2786  0.9596  0.4979  3 Pb 2.92-3.16, 1 K 3.27
Cl  0.4577  0.1645  0.1001  4 Pb 2.87-3.15
Cl  0.4577  0.3355  0.6001  4 Pb 2.87-3.15
Cl  0.5423  0.6645  0.3999  4 Pb 2.87-3.15
Cl  0.5423  0.8355  0.8999  4 Pb 2.87-3.15
Cl  0.7214  0.0404  0.5021  3 Pb 2.92-3.16, 1 K 3.27
Cl  0.7214  0.4596  0.0021  3 Pb 2.92-3.16, 1 K 3.27
Cl  0.7326  0.6532  0.6888  2 Pb 2.90
Cl  0.7326  0.8468  0.1888  2 Pb 2.90
Cl  0.7360  0.1889  0.7804  3 Pb 2.97-3.24, 2 K 3.26
Cl  0.7360  0.3111  0.2804  3 Pb 2.97-3.24, 2 K 3.26
Cl  0.9588  0.6787  0.4188  2 Pb 2.85-2.88
Cl  0.9588  0.8213  0.9188  2 Pb 2.85-2.88

Results
total moment = 0.0 μB per formula unit
E above lowest polymorph = 0 meV/atom

---

2.
# GdIr3

GdIr3 after structural relaxation (r²SCAN, Materials Project).

Cell: 4.0564 4.0564 4.0564 Å, 90.00 90.00 90.00°
Closest atoms and distances in Å follow each position.
Sites, in units of the cell vectors:
Gd  0.0000  0.0000  0.0000  12 Ir 2.87
Ir  0.0000  0.5000  0.5000  4 Gd 2.87, 8 Ir 2.87
Ir  0.5000  0.0000  0.5000  4 Gd 2.87, 8 Ir 2.87
Ir  0.5000  0.5000  0.0000  4 Gd 2.87, 8 Ir 2.87

Results
total moment = 6.9 μB per formula unit
calculated total energy = -202.01 eV/cell

---

3.
# SiO2

SiO2 after structural relaxation (r²SCAN, Materials Project).

Cell: 8.9082 9.2030 16.1235 Å, 90.00 90.00 90.00°
Closest atoms and distances in Å follow each position.
Sites, in units of the cell vectors:
Si  0.0062  0.1699  0.0250  4 O 1.60-1.61
Si  0.0124  0.6677  0.8712  4 O 1.61-1.62
Si  0.0422  0.6465  0.6822  4 O 1.60-1.62
Si  0.1520  0.5988  0.1109  4 O 1.60-1.63
Si  0.1526  0.8594  0.0000  4 O 1.60-1.63
Si  0.1965  0.4189  0.9504  4 O 1.60-1.62
Si  0.3035  0.4189  0.4504  4 O 1.60-1.62
Si  0.3474  0.8594  0.5000  4 O 1.60-1.63
Si  0.3480  0.5988  0.6109  4 O 1.60-1.63
Si  0.4578  0.6465  0.1822  4 O 1.60-1.62
Si  0.4876  0.6677  0.3712  4 O 1.61-1.62
Si  0.4938  0.1699  0.5250  4 O 1.60-1.61
Si  0.5062  0.8301  0.0250  4 O 1.60-1.61
Si  0.5124  0.3323  0.8712  4 O 1.61-1.62
Si  0.5422  0.3535  0.6822  4 O 1.60-1.62
Si  0.6520  0.4012  0.1109  4 O 1.60-1.63
Si  0.6526  0.1406  0.0000  4 O 1.60-1.63
Si  0.6965  0.5811  0.9504  4 O 1.60-1.62
Si  0.8035  0.5811  0.4504  4 O 1.60-1.62
Si  0.8474  0.1406  0.5000  4 O 1.60-1.63
Si  0.8480  0.4012  0.6109  4 O 1.60-1.63
Si  0.9578  0.3535  0.1822  4 O 1.60-1.62
Si  0.9876  0.3323  0.3712  4 O 1.61-1.62
Si  0.9938  0.8301  0.5250  4 O 1.60-1.61
O  0.0131  0.3094  0.2735  2 Si 1.60-1.61
O  0.0174  0.2315  0.1185  2 Si 1.61
O  0.0191  0.5122  0.1561  2 Si 1.60-1.62
O  0.0813  0.2855  0.9624  2 Si 1.61
O  0.0878  0.8122  0.9102  2 Si 1.62
O  0.0891  0.7470  0.0695  2 Si 1.62-1.63
O  0.0973  0.0202  0.0215  2 Si 1.60
O  0.1236  0.5311  0.8850  2 Si 1.61-1.62
O  0.1463  0.3609  0.4157  2 Si 1.60-1.61
O  0.1664  0.8546  0.4987  2 Si 1.61
O  0.2230  0.6388  0.6794  2 Si 1.61
O  0.2266  0.4996  0.0383  2 Si 1.62-1.63
O  0.2734  0.4996  0.5383  2 Si 1.62-1.63
O  0.2770  0.6388  0.1794  2 Si 1.61
O  0.3336  0.8546  0.9987  2 Si 1.61
O  0.3537  0.3609  0.9157  2 Si 1.60-1.61
O  0.3764  0.5311  0.3850  2 Si 1.61-1.62
O  0.4027  0.0202  0.5215  2 Si 1.60
O  0.4109  0.7470  0.5695  2 Si 1.62-1.63
O  0.4122  0.8122  0.4102  2 Si 1.62
O  0.4187  0.2855  0.4624  2 Si 1.61
O  0.4809  0.5122  0.6561  2 Si 1.60-1.62
O  0.4826  0.2315  0.6185  2 Si 1.61
O  0.4869  0.3094  0.7735  2 Si 1.60-1.61
O  0.5131  0.6906  0.2735  2 Si 1.60-1.61
O  0.5174  0.7685  0.1185  2 Si 1.61
O  0.5191  0.4878  0.1561  2 Si 1.60-1.62
O  0.5813  0.7145  0.9624  2 Si 1.61
O  0.5878  0.1878  0.9102  2 Si 1.62
O  0.5891  0.2530  0.0695  2 Si 1.62-1.63
O  0.5973  0.9798  0.0215  2 Si 1.60
O  0.6236  0.4689  0.8850  2 Si 1.61-1.62
O  0.6463  0.6391  0.4157  2 Si 1.60-1.61
O  0.6664  0.1454  0.4987  2 Si 1.61
O  0.7230  0.3612  0.6794  2 Si 1.61
O  0.7266  0.5004  0.0383  2 Si 1.62-1.63
O  0.7734  0.5004  0.5383  2 Si 1.62-1.63
O  0.7770  0.3612  0.1794  2 Si 1.61
O  0.8336  0.1454  0.9987  2 Si 1.61
O  0.8537  0.6391  0.9157  2 Si 1.60-1.61
O  0.8764  0.4689  0.3850  2 Si 1.61-1.62
O  0.9027  0.9798  0.5215  2 Si 1.60
O  0.9109  0.2530  0.5695  2 Si 1.62-1.63
O  0.9122  0.1878  0.4102  2 Si 1.62
O  0.9187  0.7145  0.4624  2 Si 1.61
O  0.9809  0.4878  0.6561  2 Si 1.60-1.62
O  0.9826  0.7685  0.6185  2 Si 1.61
O  0.9869  0.6906  0.7735  2 Si 1.60-1.61

Results
total moment = 0.0 μB per formula unit
calculated total energy = -714.24 eV/cell

---

4.
# Nd4Si7

Nd4Si7 after structural relaxation (r²SCAN, Materials Project).

Cell: 4.0995 4.2426 13.8400 Å, 90.00 90.00 90.00°
Closest atoms and distances in Å follow each position.
Sites, in units of the cell vectors:
Nd  0.0000  0.0000  0.0000  12 Si 3.08-3.25
Nd  0.0000  0.5000  0.2512  12 Si 3.07-3.18
Nd  0.5000  0.0000  0.7508  8 Si 3.06-3.11
Nd  0.5000  0.5000  0.4992  10 Si 3.10-3.19
Si  0.0000  0.0000  0.4211  3 Si 2.30-2.37
Si  0.0000  0.0000  0.5870  1 Si 2.30
Si  0.0000  0.5000  0.8224  2 Si 2.41
Si  0.5000  0.0000  0.1658  3 Si 2.35-2.39
Si  0.5000  0.0000  0.3355  3 Si 2.35-2.37
Si  0.5000  0.5000  0.0858  3 Si 2.37-2.39
Si  0.5000  0.5000  0.9143  3 Si 2.37-2.41

Results
total moment = 0.0 μB per formula unit
calculated total energy = -186.40 eV/cell

---

5.
# LiAc2Ge

LiAc2Ge after structural relaxation (r²SCAN, Materials Project).

Cell: 5.5555 5.5555 5.5555 Å, 60.00 60.00 60.00°
Closest atoms and distances in Å follow each position.
Sites, in units of the cell vectors:
Li  0.0000  0.0000  0.0000  8 Ac 3.40
Ac  0.2500  0.2500  0.2500  4 Ge 3.40, 4 Li 3.40
Ac  0.7500  0.7500  0.7500  4 Ge 3.40, 4 Li 3.40
Ge  0.5000  0.5000  0.5000  8 Ac 3.40

Results
total moment = 0.0 μB per formula unit
calculated total energy = -154.89 eV/cell

---

6.
# VPt

VPt after structural relaxation (r²SCAN, Materials Project).

Cell: 3.7990 3.7990 3.8926 Å, 90.00 90.00 90.00°
Closest atoms and distances in Å follow each position.
Sites, in units of the cell vectors:
V  0.5000  0.0000  0.5000  4 V 2.69, 8 Pt 2.72
V  0.0000  0.5000  0.5000  4 V 2.69, 8 Pt 2.72
Pt  0.5000  0.5000  0.0000  4 Pt 2.69, 8 V 2.72
Pt  0.0000  0.0000  0.0000  4 Pt 2.69, 8 V 2.72

Results
total moment = 0.0 μB per formula unit
calculated total energy = -133.62 eV/cell

---

7.
# Pm2AgPt

Pm2AgPt after structural relaxation (r²SCAN, Materials Project).

Cell: 5.1272 5.1272 5.1272 Å, 60.00 60.00 60.00°
Closest atoms and distances in Å follow each position.
Sites, in units of the cell vectors:
Pm  0.2500  0.2500  0.2500  4 Pt 3.14, 4 Ag 3.14
Pm  0.7500  0.7500  0.7500  4 Ag 3.14, 4 Pt 3.14
Ag  0.0000  0.0000  0.0000  8 Pm 3.14
Pt  0.5000  0.5000  0.5000  8 Pm 3.14

Results
total moment = 0.0 μB per formula unit
calculated total energy = -134.93 eV/cell

---

8.
# Li5Cu2Ge2

Li5Cu2Ge2 after structural relaxation (r²SCAN, Materials Project).

Cell: 4.1779 4.1779 7.9883 Å, 90.00 90.00 120.00°
Closest atoms and distances in Å follow each position.
Sites, in units of the cell vectors:
Li  0.0000  0.0000  0.0000  2 Cu 2.45, 6 Li 2.58
Li  0.3333  0.6667  0.1143  4 Li 2.53-2.58, 3 Ge 2.62
Li  0.3333  0.6667  0.4313  4 Li 2.53-2.65, 3 Cu 2.61, 1 Ge 2.61
Li  0.6667  0.3333  0.5687  4 Li 2.53-2.65, 3 Cu 2.61, 1 Ge 2.61
Li  0.6667  0.3333  0.8857  4 Li 2.53-2.58, 3 Ge 2.62
Cu  0.0000  0.0000  0.3071  4 Li 2.45-2.61, 3 Ge 2.47
Cu  0.0000  0.0000  0.6929  4 Li 2.45-2.61, 3 Ge 2.47
Ge  0.3333  0.6667  0.7581  3 Cu 2.47, 4 Li 2.61-2.62
Ge  0.6667  0.3333  0.2419  3 Cu 2.47, 4 Li 2.61-2.62

Results
total moment = 0.0 μB per formula unit
calculated total energy = -64.35 eV/cell

---

Question: The highest total moment belongs to which entry?
Answer: GdIr3